## Nd3Lu2Ga3O12 (PBE-GGA)

Data for a geometry-optimized Nd3Lu2Ga3O12 structure.

Cell: 13.0021 13.0021 13.0021 Å, 90.00 90.00 90.00°
With the nearest neighbours (Å) after each atom.
Space group Ia-3d (No. 230)
Unique sites:
Nd1 0.0000 0.2500 0.1250 x24  8 O 2.47-2.57
Lu1 0.0000 0.0000 0.0000 x16  6 O 2.20
Ga1 0.0000 0.2500 0.3750 x24  4 O 1.89
O1 0.0300 0.0569 0.6564 x96  1 Ga 1.89

Calculated formation energy ... -77.9 kcal/mol of atoms
Total DFT energy (no corrections) ... -0.555 Ry/atom
Total magnetization ... 0.223 μB/cell

## Gd2Fe17C (PBE-GGA)

Data for a geometry-optimized Gd2Fe17C structure.

Cell: 9.5145 8.4767 6.3229 Å, 90.00 98.97 90.00°
With the nearest neighbours (Å) after each atom.
Space group C2/m (No. 12)
Unique sites:
Gd1 0.1573 0.0000 0.3520 x4  1 C 2.48
Fe1 0.0000 0.2193 0.0000 x4  1 C 1.86
Fe2 0.0000 0.5000 0.5000 x2  10 Fe 2.40-2.56
Fe3 0.0974 0.2547 0.6514 x8  9 Fe 2.41-2.61
Fe4 0.0971 0.5000 0.9018 x4  9 Fe 2.38-2.66
Fe5 0.1443 0.3586 0.2848 x8  8 Fe 2.38-2.61
Fe6 0.1543 0.0000 0.8503 x4  1 C 1.87
Fe7 0.2500 0.2500 0.0000 x4  10 Fe 2.38-2.59
C1 0.0000 0.0000 0.0000 x2  4 Fe 1.86-1.87

Calculated formation energy ... -0.4 kcal/mol of atoms
Total DFT energy (no corrections) ... -0.668 Ry/atom
Total magnetization ... 41.753 μB/cell

## TlInAs2O7 (PBE-GGA)

Data for a geometry-optimized TlInAs2O7 structure.

Cell: 7.9751 8.8086 10.7045 Å, 88.75 89.99 74.31°
With the nearest neighbours (Å) after each atom.
Space group P-1 (No. 2)
Unique sites:
Tl1 0.1541 0.4617 0.1812 x2  5 O 2.86-3.19
Tl2 0.1820 0.9422 0.3158 x2  5 O 2.79-3.04
In1 0.2365 0.2311 0.6021 x2  6 O 2.17-2.21
In2 0.2383 0.7386 0.9040 x2  6 O 2.14-2.23
As1 0.1289 0.6692 0.5997 x2  4 O 1.69-1.79
As2 0.1564 0.1494 0.9270 x2  4 O 1.69-1.80
As3 0.4327 0.3269 0.8584 x2  4 O 1.70-1.80
As4 0.4500 0.7983 0.6324 x2  4 O 1.70-1.81
O1 0.0081 0.2862 0.0107 x2  1 As 1.71
O2 0.0108 0.7804 0.4797 x2  1 As 1.72
O3 0.0770 0.7785 0.7323 x2  1 As 1.72
O4 0.1032 0.1778 0.7718 x2  1 As 1.71
O5 0.1046 0.4850 0.6166 x2  1 As 1.69
O6 0.1886 0.9644 0.9875 x2  1 As 1.69
O7 0.2660 0.4932 0.8697 x2  1 As 1.70
O8 0.3305 0.9748 0.5726 x2  1 As 1.70
O9 0.3392 0.2592 0.4177 x2  1 As 1.71
O10 0.3525 0.6554 0.5644 x2  2 As 1.79-1.81
O11 0.3642 0.1858 0.9553 x2  2 As 1.80
O12 0.3728 0.6611 0.0841 x2  1 As 1.70
O13 0.4556 0.7690 0.7910 x2  1 As 1.71
O14 0.4583 0.2528 0.7106 x2  1 As 1.72

Calculated formation energy ... -40.0 kcal/mol of atoms
Total DFT energy (no corrections) ... -0.423 Ry/atom
Total magnetization ... 0.004 μB/cell

## Na22In5O15 (PBE-GGA)

Data for a geometry-optimized Na22In5O15 structure.

Cell: 11.2058 15.8853 9.6764 Å, 90.00 125.16 90.00°
With the nearest neighbours (Å) after each atom.
Space group Cm (No. 8)
Unique sites:
Na1 0.0000 0.0000 0.0000 x2  4 O 2.21-2.33
Na2 0.0035 0.0000 0.5150 x2  4 O 2.51-2.52
Na3 0.0445 0.1385 0.7545 x4  4 O 2.28-2.49
Na4 0.0628 0.3920 0.1744 x4  3 O 2.37-2.56
Na5 0.1227 0.1091 0.3020 x4  4 O 2.37-2.57
Na6 0.1677 0.2736 0.4580 x4  4 O 2.22-2.45
Na7 0.2355 0.5000 0.4782 x2  4 O 2.29-2.48
Na8 0.2374 0.0000 0.9581 x2  4 O 2.35-2.61
Na9 0.2729 0.3884 0.7461 x4  3 O 2.35-2.58
Na10 0.2997 0.1494 0.1761 x4  2 O 2.26
Na11 0.3451 0.3498 0.2598 x4  3 O 2.32-2.39
Na12 0.4439 0.2204 0.5263 x4  4 O 2.47-2.63
Na13 0.4595 0.2704 0.0160 x4  4 O 2.31-2.52
In1 0.2464 0.5000 0.0262 x2  3 O 2.13-2.16
In2 0.3049 0.1442 0.7283 x4  3 O 2.12-2.16
In3 0.4427 0.0000 0.4358 x2  3 O 2.08-2.11
In4 0.4567 0.0000 0.7395 x2  4 In 2.80-2.85
O1 0.0536 0.3937 0.4321 x4  1 In 2.11, 1 Na 2.23
O2 0.0758 0.1513 0.5236 x4  1 In 2.16, 1 Na 2.37
O3 0.2021 0.2443 0.2590 x4  6 Na 2.22-2.47
O4 0.2345 0.0000 0.2112 x2  1 In 2.08, 1 Na 2.21
O5 0.2485 0.5000 0.2506 x2  1 In 2.16, 1 Na 2.29
O6 0.3159 0.1365 0.9551 x4  1 In 2.13, 3 Na 2.26-2.37
O7 0.3801 0.2661 0.7268 x4  1 In 2.12, 3 Na 2.28-2.35
O8 0.3817 0.3978 0.0531 x4  1 In 2.13, 4 Na 2.31-2.39
O9 0.4548 0.5000 0.7386 x2  5 Na 2.28-2.52

Calculated formation energy ... -34.3 kcal/mol of atoms
Total DFT energy (no corrections) ... -0.296 Ry/atom
Total magnetization ... 1.998 μB/cell

## TaGa3P2S4O24 (PBE-GGA)

Data for a geometry-optimized TaGa3P2S4O24 structure.

Cell: 8.5413 8.5467 22.1112 Å, 89.60 89.73 60.17°
With the nearest neighbours (Å) after each atom.
Space group P1 (No. 1)
Unique sites:
Ta1 0.0000 0.0000 0.0000 x1  6 O 1.89-2.06
Ta2 0.0176 0.9874 0.5022 x1  6 O 1.91-2.01
Ta3 0.3458 0.3266 0.3379 x1  6 O 1.89-2.09
Ga1 0.0070 0.9888 0.7896 x1  6 O 1.90-2.06
Ga2 0.0111 0.9938 0.2954 x1  6 O 1.88-2.07
Ga3 0.3457 0.3325 0.6249 x1  6 O 1.87-2.02
Ga4 0.3530 0.3195 0.8310 x1  6 O 1.90-2.05
Ga5 0.3527 0.3256 0.1242 x1  6 O 1.88-2.01
Ga6 0.6712 0.6613 0.6656 x1  6 O 1.88-2.03
Ga7 0.6721 0.6564 0.4555 x1  6 O 1.89-2.08
Ga8 0.6759 0.6595 0.9566 x1  6 O 1.88-2.05
Ga9 0.6802 0.6517 0.1654 x1  6 O 1.88-2.03
P1 0.3047 0.9814 0.3939 x1  4 O 1.49-1.57
P2 0.4016 0.6487 0.5631 x1  4 O 1.52-1.59
P3 0.6691 0.3828 0.0625 x1  4 O 1.52-1.59
P4 0.7158 0.9906 0.8918 x1  4 O 1.52-1.62
P5 0.7325 0.2833 0.3945 x1  4 O 1.49-1.58
P6 0.9994 0.7108 0.3945 x1  4 O 1.49-1.58
S1 0.0124 0.2862 0.8925 x1  4 O 1.46-1.53
S2 0.0544 0.3248 0.2266 x1  4 O 1.46-1.51
S3 0.0544 0.6147 0.7286 x1  4 O 1.48-1.49
S4 0.3035 0.7006 0.8933 x1  4 O 1.47-1.52
S5 0.3432 0.6211 0.2269 x1  4 O 1.46-1.51
S6 0.3446 0.0361 0.7281 x1  4 O 1.48-1.49
S7 0.3935 0.9492 0.0625 x1  4 O 1.47-1.50
S8 0.6368 0.3261 0.7282 x1  4 O 1.47-1.49
S9 0.6398 0.0312 0.2270 x1  4 O 1.46-1.51
S10 0.6713 0.9483 0.5626 x1  4 O 1.46-1.51
S11 0.9682 0.3766 0.5626 x1  4 O 1.46-1.51
S12 0.9687 0.6520 0.0627 x1  4 O 1.46-1.51
O1 0.0377 0.1641 0.2354 x1  1 S 1.46
O2 0.0395 0.7939 0.7358 x1  1 S 1.48
O3 0.0454 0.1671 0.9486 x1  1 S 1.53
O4 0.0465 0.7897 0.4505 x1  1 P 1.56
O5 0.1349 0.5009 0.7836 x1  1 S 1.49
O6 0.1403 0.3566 0.2810 x1  1 S 1.51
O7 0.1500 0.4959 0.0706 x1  1 S 1.47
O8 0.1516 0.3475 0.5704 x1  1 S 1.47
O9 0.1689 0.5363 0.6742 x1  1 S 1.48
O10 0.1705 0.2937 0.1727 x1  1 S 1.49
O11 0.1757 0.3002 0.8873 x1  1 S 1.46
O12 0.1755 0.5227 0.3852 x1  1 P 1.58
O13 0.1798 0.0284 0.4503 x1  1 P 1.56
O14 0.1821 0.0183 0.7371 x1  1 S 1.48
O15 0.1828 0.7971 0.2357 x1  1 S 1.46
O16 0.1875 0.7874 0.9488 x1  1 S 1.52
O17 0.2088 0.8211 0.5530 x1  1 P 1.59
O18 0.2117 0.9658 0.0531 x1  1 S 1.50
O19 0.2201 0.9567 0.3372 x1  1 P 1.52
O20 0.2228 0.8184 0.8402 x1  1 S 1.47
O21 0.3104 0.5375 0.1735 x1  1 S 1.48
O22 0.3106 0.1510 0.6736 x1  1 S 1.49
O23 0.3161 0.5240 0.8874 x1  1 S 1.47
O24 0.3174 0.1572 0.3852 x1  1 P 1.57
O25 0.3674 0.1314 0.0704 x1  1 S 1.47
O26 0.3683 0.4904 0.5712 x1  1 P 1.52
O27 0.3772 0.5009 0.2812 x1  1 S 1.51
O28 0.3789 0.1149 0.7828 x1  1 S 1.49
O29 0.4676 0.8355 0.1170 x1  1 S 1.47
O30 0.4727 0.6968 0.6191 x1  1 P 1.53
O31 0.4805 0.6854 0.9029 x1  1 S 1.47
O32 0.4902 0.8278 0.4040 x1  1 P 1.49
O33 0.5026 0.8722 0.0077 x1  1 S 1.47
O34 0.5075 0.8575 0.7209 x1  1 S 1.48
O35 0.5083 0.6336 0.2208 x1  1 S 1.47
O36 0.5092 0.6238 0.5057 x1  1 P 1.52
O37 0.5115 0.3490 0.0708 x1  1 P 1.52
O38 0.5155 0.1299 0.5706 x1  1 S 1.47
O39 0.5207 0.1177 0.2813 x1  1 S 1.51
O40 0.5220 0.3624 0.7828 x1  1 S 1.49
O41 0.5342 0.1623 0.8863 x1  1 P 1.52
O42 0.5423 0.2982 0.3850 x1  1 P 1.58
O43 0.5561 0.1482 0.1733 x1  1 S 1.48
O44 0.5581 0.2893 0.6743 x1  1 S 1.48
O45 0.6448 0.4913 0.0048 x1  1 P 1.53
O46 0.6457 0.8701 0.5077 x1  1 S 1.46
O47 0.6518 0.8542 0.2197 x1  1 S 1.47
O48 0.6558 0.4873 0.7205 x1  1 S 1.47
O49 0.7039 0.4683 0.4035 x1  1 P 1.49
O50 0.7043 0.8227 0.9063 x1  1 P 1.52
O51 0.7159 0.8335 0.6172 x1  1 S 1.48
O52 0.7170 0.4532 0.1186 x1  1 P 1.53
O53 0.8098 0.1596 0.4508 x1  1 P 1.55
O54 0.8114 0.0226 0.9497 x1  1 P 1.62
O55 0.8161 0.0167 0.2356 x1  1 S 1.46
O56 0.8166 0.1644 0.7362 x1  1 S 1.48
O57 0.8364 0.9682 0.5544 x1  1 S 1.51
O58 0.8397 0.2002 0.3371 x1  1 P 1.52
O59 0.8425 0.1896 0.0522 x1  1 P 1.59
O60 0.8440 0.6815 0.4063 x1  1 P 1.49
O61 0.8438 0.9558 0.8391 x1  1 P 1.52
O62 0.8512 0.4607 0.9033 x1  1 S 1.46
O63 0.8538 0.6968 0.1169 x1  1 S 1.47
O64 0.8551 0.4486 0.6171 x1  1 S 1.47
O65 0.8744 0.6336 0.7200 x1  1 S 1.48
O66 0.8777 0.4904 0.2208 x1  1 S 1.47
O67 0.8907 0.6248 0.0077 x1  1 S 1.46
O68 0.8916 0.4833 0.5077 x1  1 S 1.46
O69 0.9762 0.8194 0.3374 x1  1 P 1.52
O70 0.9790 0.2020 0.8403 x1  1 S 1.47
O71 0.9850 0.1933 0.5543 x1  1 S 1.51
O72 0.9902 0.8162 0.0538 x1  1 S 1.51

Calculated formation energy ... -51.8 kcal/mol of atoms
Total DFT energy (no corrections) ... -0.491 Ry/atom
Total magnetization ... 0.000 μB/cell

## Ca2As3Pb3ClO12 (PBE-GGA)

Data for a geometry-optimized Ca2As3Pb3ClO12 structure.

Cell: 10.3967 10.3967 7.1814 Å, 90.00 90.00 120.00°
With the nearest neighbours (Å) after each atom.
Space group P6_3/m (No. 176)
Unique sites:
Ca1 0.3333 0.6667 0.0062 x4  6 O 2.45-2.54
As1 0.0298 0.4210 0.7500 x6  4 O 1.71-1.75
Pb1 0.0265 0.7645 0.7500 x6  5 O 2.43-2.63
Cl1 0.0000 0.0000 0.0000 x2  6 Pb 3.16, 6 O 3.44
O1 0.0890 0.3635 0.5593 x12  1 As 1.73
O2 0.1448 0.6141 0.7500 x6  1 As 1.75
O3 0.1549 0.6335 0.2500 x6  1 As 1.71

Calculated formation energy ... -49.1 kcal/mol of atoms
Total DFT energy (no corrections) ... -0.444 Ry/atom
Total magnetization ... 0.005 μB/cell

## Cs2CuBiCl6 (PBE-GGA)

Data for a geometry-optimized Cs2CuBiCl6 structure.

Cell: 10.6304 10.6304 10.6304 Å, 90.00 90.00 90.00°
With the nearest neighbours (Å) after each atom.
Space group Fm-3m (No. 225)
Unique sites:
Cs1 0.2500 0.2500 0.2500 x8  12 Cl 3.76
Cu1 0.0000 0.0000 0.0000 x4  6 Cl 2.56
Bi1 0.0000 0.0000 0.5000 x4  6 Cl 2.75
Cl1 0.0000 0.0000 0.2409 x24  1 Cu 2.56, 1 Bi 2.75

Calculated formation energy ... -38.4 kcal/mol of atoms
Total DFT energy (no corrections) ... -0.249 Ry/atom
Total magnetization ... 0.000 μB/cell